No. 1
LiMnO2: relaxed, GGA+U.

a b c (Å): 3.1721 10.1837 4.9550
angles (deg): 89.99 90.00 98.83
Fractional coordinates of all 16 atoms:
O 0.9512 0.8854 0.5698
O 0.4242 0.6102 0.5691
Li 0.6870 0.2477 0.1575
Li 0.1870 0.2477 0.6575
O 0.9243 0.1102 0.9309
Mn 0.4378 0.9978 0.7504
Mn 0.9377 0.9978 0.2503
O 0.4512 0.8854 0.0698
O 0.4243 0.1102 0.4309
Li 0.6868 0.7477 0.8425
Mn 0.9376 0.4978 0.7496
O 0.9242 0.6102 0.0691
Mn 0.4376 0.4978 0.2496
O 0.4510 0.3854 0.9302
Li 0.1868 0.7477 0.3425
O 0.9510 0.3854 0.4302

---

No. 2
Ni3P4H48N2O30: relaxed, GGA+U.

a b c (Å): 6.2133 7.0075 17.6056
angles (deg): 101.48 90.95 90.00
Fractional coordinates of all 87 atoms:
N 0.0172 0.6171 0.2342
H 0.9608 0.2261 0.0905
O 0.4704 0.2421 0.1187
O 0.2579 0.9022 0.4369
H 0.7970 0.0345 0.4645
H 0.6183 0.9133 0.5936
H 0.3490 0.4283 0.0902
O 0.5296 0.7579 0.8813
O 0.1290 0.6736 0.9282
O 0.7421 0.4653 0.5631
H 0.0776 0.2584 0.7552
O 0.6006 0.3402 0.6804
O 0.1136 0.0641 0.1282
H 0.9224 0.5032 0.2448
O 0.7421 0.0978 0.5631
H 0.4146 0.6971 0.7933
H 0.5854 0.9038 0.2067
O 0.6572 0.9042 0.2581
O 0.8440 0.4183 0.4098
H 0.0776 0.4968 0.7552
H 0.6807 0.9922 0.9845
O 0.7372 0.4615 0.9230
H 0.9208 0.8881 0.7761
H 0.0013 0.5412 0.5861
O 0.8864 0.9359 0.8718
O 0.6572 0.3540 0.2581
H 0.2810 0.2152 0.9193
H 0.0392 0.7739 0.9095
Ni 0.2495 0.8334 0.6669
O 0.3428 0.6460 0.7419
O 0.3994 0.6598 0.3196
H 0.5612 0.4617 0.2843
H 0.5778 0.7208 0.4416
H 0.9987 0.4588 0.4139
H 0.2030 0.5700 0.5355
H 0.3817 0.3197 0.4064
H 0.9987 0.9552 0.4139
H 0.0392 0.1356 0.9095
O 0.3428 0.0958 0.7419
P 0.3447 0.0483 0.0967
H 0.9224 0.7416 0.2448
H 0.0013 0.0448 0.5861
Ni 0.0000 0.5000 0.0000
H 0.3193 0.0078 0.0155
O 0.5296 0.1234 0.8813
P 0.6301 0.2957 0.5914
H 0.6183 0.6803 0.5936
H 0.8098 0.8452 0.6904
H 0.4388 0.5383 0.7157
H 0.5854 0.3029 0.2067
O 0.1560 0.0085 0.5902
H 0.4222 0.2792 0.5584
N 0.9828 0.3829 0.7658
O 0.8710 0.3264 0.0718
O 0.4704 0.8766 0.1187
O 0.1290 0.2545 0.9282
H 0.6510 0.3382 0.9098
O 0.2628 0.5385 0.0770
O 0.9485 0.8595 0.7191
H 0.4388 0.1775 0.7157
O 0.2579 0.5347 0.4369
H 0.7190 0.7848 0.0807
H 0.8419 0.3653 0.7307
H 0.1902 0.1548 0.3096
P 0.6553 0.9517 0.9033
O 0.0515 0.1405 0.2809
H 0.6510 0.5717 0.9098
H 0.2810 0.7041 0.9193
H 0.7190 0.2959 0.0807
H 0.9608 0.8644 0.0905
O 0.5668 0.8110 0.6220
H 0.1581 0.6347 0.2693
H 0.0597 0.5883 0.1765
H 0.9403 0.4117 0.8235
H 0.3817 0.0867 0.4064
H 0.7970 0.4300 0.4645
O 0.8440 0.9915 0.4098
P 0.3699 0.7043 0.4086
H 0.0792 0.1119 0.2239
O 0.1560 0.5817 0.5902
O 0.8710 0.7455 0.0718
H 0.2030 0.9655 0.5355
H 0.4146 0.0962 0.7933
O 0.4332 0.1890 0.3780
Ni 0.7505 0.1666 0.3331
H 0.3490 0.6618 0.0902
H 0.5612 0.8225 0.2843

---

No. 3
La3CrWS3O6: relaxed, GGA+U.

a b c (Å): 9.4978 9.4978 5.6307
angles (deg): 90.00 90.00 120.00
Fractional coordinates of all 28 atoms:
O 0.6341 0.4736 0.5248
S 0.7732 0.8187 0.2500
S 0.9545 0.7732 0.7500
O 0.1605 0.6341 0.0248
O 0.5264 0.1605 0.9752
S 0.2268 0.1813 0.7500
Cr 0.0000 0.0000 0.0000
O 0.4736 0.8395 0.4752
La 0.5915 0.6804 0.7500
La 0.0889 0.4085 0.7500
O 0.8395 0.3659 0.5248
S 0.0455 0.2268 0.2500
La 0.4085 0.3196 0.2500
O 0.1605 0.6341 0.4752
O 0.5264 0.1605 0.5248
La 0.9111 0.5915 0.2500
W 0.3333 0.6667 0.2500
La 0.3196 0.9111 0.7500
S 0.1813 0.9545 0.2500
S 0.8187 0.0455 0.7500
W 0.6667 0.3333 0.7500
O 0.3659 0.5264 0.4752
O 0.3659 0.5264 0.0248
O 0.4736 0.8395 0.0248
O 0.6341 0.4736 0.9752
La 0.6804 0.0889 0.2500
Cr 0.0000 0.0000 0.5000
O 0.8395 0.3659 0.9752

---

No. 4
Ca2Cr3O8: relaxed, GGA+U.

a b c (Å): 6.0136 6.0136 10.5621
angles (deg): 90.00 90.00 120.00
Fractional coordinates of all 26 atoms:
Ca 0.6667 0.3333 0.0231
O 0.3107 0.1553 0.1577
O 0.8447 0.6893 0.1577
O 0.4765 0.5235 0.3469
O 0.6893 0.8447 0.6577
O 0.4765 0.9529 0.3469
O 0.0000 0.0000 0.8455
O 0.5235 0.4765 0.8469
O 0.3333 0.6667 0.1437
Ca 0.3333 0.6667 0.9308
O 0.1553 0.8447 0.6577
Ca 0.3333 0.6667 0.5231
O 0.1553 0.3107 0.6577
Cr 0.8363 0.6726 0.7455
O 0.0000 0.0000 0.3455
Cr 0.8363 0.1637 0.7455
O 0.6667 0.3333 0.6437
Cr 0.3274 0.1637 0.7455
Cr 0.6726 0.8363 0.2455
O 0.8447 0.1553 0.1577
Ca 0.6667 0.3333 0.4308
O 0.0471 0.5235 0.3469
O 0.5235 0.0471 0.8469
Cr 0.1637 0.3274 0.2455
O 0.9529 0.4765 0.8469
Cr 0.1637 0.8363 0.2455

Values from the calculation:
The calculation puts the energy relative to the lowest polymorph listed for this composition at 59 meV/atom.

---

No. 5
Li4Mn3Cr3Sb2O16: relaxed, GGA+U.

a b c (Å): 5.9929 5.9929 9.7571
angles (deg): 88.61 88.61 59.43
Fractional coordinates of all 28 atoms:
Mn 0.1701 0.6626 0.2875
Li 0.3340 0.3340 0.5986
O 0.6704 0.6704 0.8864
O 0.1650 0.1650 0.9007
O 0.3382 0.8398 0.4082
O 0.8398 0.3382 0.4082
Li 0.0007 0.0007 0.0113
O 0.5186 0.5186 0.6604
Cr 0.1706 0.1706 0.2850
Sb 0.3290 0.3290 0.0127
Li 0.0038 0.0038 0.5114
O 0.6685 0.1690 0.9084
O 0.8388 0.8388 0.4081
O 0.0285 0.4706 0.1505
Cr 0.3400 0.8312 0.7859
Mn 0.8320 0.8320 0.7887
O 0.4779 0.4779 0.1524
O 0.1690 0.6685 0.9084
O 0.9658 0.5111 0.6531
O 0.4706 0.0285 0.1505
O 0.5111 0.9658 0.6531
O 0.3348 0.3348 0.3847
Sb 0.6687 0.6687 0.5152
O 0.9997 0.9997 0.1992
Li 0.6633 0.6633 0.0930
Cr 0.8312 0.3400 0.7859
Mn 0.6626 0.1701 0.2875
O 0.9970 0.9970 0.6972

---

No. 6
LiVPO4: relaxed, GGA+U.

a b c (Å): 7.5160 7.5160 9.7795
angles (deg): 90.00 90.00 120.00
Fractional coordinates of all 42 atoms:
O 0.6667 0.3333 0.8408
O 0.1203 0.4973 0.8154
O 0.6230 0.5027 0.3154
P 0.0000 0.0000 0.5021
O 0.6667 0.3333 0.1056
O 0.0000 0.0000 0.1604
V 0.0547 0.5747 0.4761
O 0.3333 0.6667 0.6056
O 0.8974 0.7751 0.9459
V 0.4800 0.4253 0.9761
O 0.8797 0.3770 0.3154
O 0.5491 0.8296 0.1275
Li 0.9495 0.2020 0.7538
O 0.7751 0.8974 0.4459
O 0.2805 0.4509 0.1275
O 0.4973 0.1203 0.3154
V 0.9453 0.5200 0.9761
O 0.5027 0.6230 0.8154
V 0.5747 0.0547 0.9761
O 0.1223 0.2249 0.4459
V 0.4253 0.4800 0.4761
O 0.2249 0.1223 0.9459
O 0.0000 0.0000 0.6604
P 0.3333 0.6667 0.1766
P 0.3333 0.6667 0.7683
P 0.0000 0.0000 0.0021
O 0.1704 0.7195 0.1275
V 0.5200 0.9453 0.4761
P 0.6667 0.3333 0.2683
Li 0.7475 0.7980 0.2538
O 0.4509 0.2805 0.6275
O 0.3333 0.6667 0.3408
O 0.8296 0.5491 0.6275
Li 0.2525 0.0505 0.7538
Li 0.7980 0.7475 0.7538
O 0.8777 0.1026 0.9459
Li 0.2020 0.9495 0.2538
Li 0.0505 0.2525 0.2538
O 0.3770 0.8797 0.8154
O 0.1026 0.8777 0.4459
O 0.7195 0.1704 0.6275
P 0.6667 0.3333 0.6766

Values from the calculation:
The calculation puts the energy relative to the lowest polymorph listed for this composition at 65 meV/atom.

---

No. 7
MgWF6: relaxed, GGA+U.

a b c (Å): 5.6632 5.6632 5.6632
angles (deg): 56.91 56.91 56.91
Fractional coordinates of all 8 atoms:
F 0.2456 0.6608 0.8383
F 0.6608 0.8383 0.2456
W 0.0000 0.0000 0.0000
F 0.7544 0.3392 0.1617
F 0.3392 0.1617 0.7544
Mg 0.5000 0.5000 0.5000
F 0.8383 0.2456 0.6608
F 0.1617 0.7544 0.3392

---

No. 8
Li3V3P8O29: relaxed, GGA+U.

a b c (Å): 9.7886 9.7886 14.4886
angles (deg): 89.62 89.62 59.82
Fractional coordinates of all 86 atoms:
O 0.8165 0.5254 0.9322
O 0.6565 0.0852 0.9143
O 0.2630 0.6528 0.9179
P 0.9134 0.7793 0.0880
P 0.0928 0.6831 0.9109
O 0.2002 0.7998 0.5000
P 0.7816 0.2990 0.0918
O 0.3442 0.9128 0.5825
O 0.6191 0.4544 0.0787
O 0.4594 0.6175 0.5787
O 0.4746 0.1835 0.0678
V 0.4357 0.0010 0.5065
P 0.3169 0.9072 0.0891
Li 0.3230 0.9029 0.3056
O 0.9197 0.7370 0.5834
O 0.7388 0.3480 0.5785
O 0.3357 0.4749 0.0680
O 0.4758 0.3373 0.5688
O 0.2075 0.7935 0.3270
O 0.2025 0.0031 0.0051
O 0.3347 0.1860 0.5729
P 0.9133 0.3087 0.5833
P 0.3300 0.3384 0.6150
O 0.9211 0.6179 0.0781
O 0.1807 0.4865 0.5735
O 0.0261 0.2199 0.3148
O 0.3379 0.3259 0.2176
O 0.5135 0.8193 0.4265
O 0.6520 0.2612 0.4215
O 0.7379 0.9135 0.0758
Li 0.7676 0.9125 0.8098
O 0.6627 0.5242 0.4312
O 0.0944 0.3802 0.4238
P 0.6665 0.6703 0.8841
V 0.4416 0.5584 0.0000
O 0.9863 0.8023 0.1702
O 0.5251 0.6643 0.9320
O 0.6741 0.6621 0.7824
O 0.3285 0.3417 0.7172
V 0.9965 0.4380 0.9995
O 0.8140 0.6653 0.4271
O 0.5456 0.3809 0.9213
O 0.7801 0.9739 0.6852
O 0.3825 0.5406 0.4213
P 0.0927 0.2235 0.4061
O 0.2401 0.9895 0.1775
O 0.7907 0.0079 0.5108
O 0.3821 0.0789 0.9219
O 0.2065 0.7925 0.6730
V 0.9990 0.5643 0.4935
O 0.0945 0.5252 0.9288
O 0.4748 0.9055 0.0712
O 0.0872 0.6558 0.4175
O 0.3472 0.7370 0.0821
O 0.8046 0.2002 0.1741
P 0.7010 0.2184 0.9082
O 0.7998 0.1954 0.8259
O 0.0865 0.2621 0.9242
O 0.6583 0.6715 0.2828
P 0.6616 0.6700 0.3850
V 0.5633 0.4367 0.5000
O 0.9180 0.4643 0.5701
P 0.2207 0.0866 0.9120
O 0.9148 0.3435 0.0857
O 0.6692 0.8197 0.9204
O 0.9921 0.2093 0.4892
O 0.5357 0.0820 0.4299
O 0.9969 0.7975 0.9949
Li 0.0116 0.0696 0.7572
O 0.1977 0.0137 0.8298
P 0.6913 0.0867 0.4167
O 0.2630 0.0803 0.4166
V 0.5620 0.0035 0.0005
P 0.7765 0.9073 0.5939
O 0.7863 0.0026 0.3350
O 0.9974 0.2137 0.6650
Li 0.0875 0.2324 0.1902
Li 0.9304 0.9884 0.2428
O 0.0105 0.7599 0.8225
O 0.6198 0.9056 0.5762
P 0.3297 0.3335 0.1159
O 0.8020 0.1980 0.0000
P 0.3044 0.7776 0.5906
P 0.2224 0.6956 0.4094
O 0.1803 0.3308 0.0796
Li 0.0971 0.6770 0.6944

Values from the calculation:
The calculation puts the energy relative to the lowest polymorph listed for this composition at 5 meV/atom.

---

No. 9
Li3MnFe2B3O9: relaxed, GGA+U.

a b c (Å): 6.3162 8.2240 8.8211
angles (deg): 62.38 69.03 90.01
Fractional coordinates of all 36 atoms:
Mn 0.0063 0.3736 0.9873
Li 0.4007 0.2836 0.6988
O 0.9431 0.0803 0.1136
B 0.0821 0.3333 0.3356
B 0.4182 0.6693 0.6635
O 0.0390 0.4418 0.4218
O 0.9577 0.8029 0.0845
Fe 0.8161 0.6396 0.3681
Li 0.2421 0.6988 0.0155
O 0.4580 0.8029 0.0843
O 0.5393 0.4418 0.4217
O 0.3773 0.7826 0.7452
Li 0.6073 0.0156 0.2852
Li 0.7424 0.6987 0.0155
O 0.5284 0.1387 0.4434
B 0.9988 0.9976 0.0023
O 0.0281 0.1387 0.4434
B 0.4989 0.9977 0.0022
O 0.3615 0.4744 0.7770
O 0.6790 0.4192 0.1419
O 0.8775 0.7826 0.7452
O 0.0962 0.1085 0.8075
O 0.1791 0.4193 0.1420
B 0.9183 0.6693 0.6635
Fe 0.3165 0.6406 0.3669
Li 0.9005 0.2835 0.6988
O 0.8614 0.4744 0.7771
Fe 0.1802 0.9921 0.6399
B 0.5823 0.3333 0.3355
O 0.4431 0.0801 0.1138
Fe 0.6805 0.9920 0.6391
O 0.5962 0.1083 0.8076
O 0.5149 0.7481 0.4700
O 0.0152 0.7480 0.4701
Li 0.1074 0.0156 0.2852
Mn 0.5064 0.3735 0.9872

Values from the calculation:
The calculation puts the energy relative to the lowest polymorph listed for this composition at 0 meV/atom.

---

No. 10
ZnFe2O4: relaxed, GGA+U.

a b c (Å): 7.7467 7.7467 9.2623
angles (deg): 55.61 55.61 21.93
Fractional coordinates of all 14 atoms:
Fe 0.8515 0.8515 0.4793
O 0.8577 0.8577 0.6971
O 0.5505 0.5505 0.6524
Fe 0.6038 0.6038 0.2040
O 0.7754 0.7754 0.3579
O 0.1423 0.1423 0.3029
O 0.8591 0.8591 0.9797
Fe 0.3962 0.3962 0.7960
Zn 0.3114 0.3114 0.1667
Zn 0.6886 0.6886 0.8333
O 0.1409 0.1409 0.0203
Fe 0.1485 0.1485 0.5207
O 0.2246 0.2246 0.6421
O 0.4495 0.4495 0.3476

Values from the calculation:
The calculation puts the energy relative to the lowest polymorph listed for this composition at 133 meV/atom.

---

no.,formation enthalpy at 0 K (meV per atom)
1,-2131
2,-1334
3,-2758
4,-2463
5,-2214
6,-2578
7,-3205
8,-2528
9,-2389
10,-1612